(1)
A relaxed structure of K5NaP3H3O12. Source: the Materials Project database, functional GGA-PBE.

The structure in CIF format:
```
data_K5NaP3H3O12
_chemical_formula_sum 'K20 Na4 P12 H12 O48'
_symmetry_space_group_name_H-M 'P n a 21'
_symmetry_Int_Tables_number 33
_cell_length_a 22.778
_cell_length_b 10.081
_cell_length_c 5.929
_cell_angle_alpha 90.00
_cell_angle_beta 90.00
_cell_angle_gamma 90.00
loop_
_symmetry_equiv_pos_as_xyz
'x,y,z'
'-x,-y,z+1/2'
'-x+1/2,y+1/2,z+1/2'
'x+1/2,-y+1/2,z'
loop_
_atom_site_label
_atom_site_type_symbol
_atom_site_fract_x
_atom_site_fract_y
_atom_site_fract_z
K1 K 0.049 0.098 0.000
K2 K 0.094 0.622 0.493
K3 K 0.159 0.266 0.534
K4 K 0.167 0.850 0.993
K5 K 0.218 0.498 0.053
Na1 Na 0.014 0.753 0.006
P1 P 0.075 0.429 0.997
P2 P 0.087 0.950 0.498
P3 P 0.240 0.644 0.552
H1 H 0.001 0.487 0.227
H2 H 0.167 0.199 0.004
H3 H 0.177 0.867 0.455
O1 O 0.027 0.405 0.201
O2 O 0.042 0.397 0.772
O3 O 0.066 0.094 0.504
O4 O 0.068 0.875 0.284
O5 O 0.071 0.872 0.713
O6 O 0.094 0.574 0.008
O7 O 0.123 0.327 0.048
O8 O 0.159 0.958 0.490
O9 O 0.192 0.121 0.963
O10 O 0.210 0.736 0.375
O11 O 0.213 0.506 0.553
O12 O 0.245 0.712 0.781
```

Results
calculated volume: 14.2 Å³/atom
uncorrected energy: -5.909 eV/atom
formation energy: -2.391 eV/atom

=====

(2)
A relaxed structure of CdPd3. Source: the Materials Project database, functional GGA-PBE.

The structure in CIF format:
```
data_CdPd3
_chemical_formula_sum 'Cd2 Pd6'
_symmetry_space_group_name_H-M 'P 63/m m c'
_symmetry_Int_Tables_number 194
_symmetry_space_group_name_Hall '-P 6c 2c'
_cell_length_a 5.7254
_cell_length_b 5.7254
_cell_length_c 4.6610
_cell_angle_alpha 90.00
_cell_angle_beta 90.00
_cell_angle_gamma 120.00
loop_
_atom_site_label
_atom_site_type_symbol
_atom_site_fract_x
_atom_site_fract_y
_atom_site_fract_z
Cd1 Cd 0.3333 0.6667 0.2500
Pd1 Pd 0.1645 0.3291 0.7500
```

Results
calculated volume: 16.5 Å³/atom
uncorrected energy: -4.363 eV/atom
formation energy: -0.247 eV/atom

=====

(3)
A relaxed structure of TbSi2Pt2. Source: the Materials Project database, functional GGA-PBE.

The structure in CIF format:
```
data_TbSi2Pt2
_chemical_formula_sum 'Tb2 Si4 Pt4'
_symmetry_space_group_name_H-M 'I 4/m m m'
_symmetry_Int_Tables_number 139
_symmetry_space_group_name_Hall '-I 4 2'
_cell_length_a 4.193
_cell_length_b 4.193
_cell_length_c 9.923
_cell_angle_alpha 90.00
_cell_angle_beta 90.00
_cell_angle_gamma 90.00
loop_
_atom_site_label
_atom_site_type_symbol
_atom_site_fract_x
_atom_site_fract_y
_atom_site_fract_z
Tb1 Tb 0.000 0.000 0.000
Si1 Si 0.000 0.000 0.382
Pt1 Pt 0.000 0.500 0.250
```

Results
calculated volume: 17.4 Å³/atom
uncorrected energy: -6.559 eV/atom
formation energy: -1.033 eV/atom

=====

(4)
A relaxed structure of LiAl2Au. Source: the Materials Project database, functional GGA-PBE.

The structure in CIF format:
```
data_LiAl2Au
_chemical_formula_sum 'Li4 Al8 Au4'
_symmetry_space_group_name_H-M 'F m -3 m'
_symmetry_Int_Tables_number 225
_symmetry_space_group_name_Hall '-F 4 2 3'
_cell_length_a 6.255
_cell_length_b 6.255
_cell_length_c 6.255
_cell_angle_alpha 90.00
_cell_angle_beta 90.00
_cell_angle_gamma 90.00
loop_
_atom_site_label
_atom_site_type_symbol
_atom_site_fract_x
_atom_site_fract_y
_atom_site_fract_z
Li1 Li 0.000 0.000 0.000
Al1 Al 0.250 0.250 0.250
Au1 Au 0.000 0.000 0.500
```

Results
calculated volume: 15.3 Å³/atom
uncorrected energy: -3.523 eV/atom
formation energy: -0.354 eV/atom

=====

(5)
A relaxed structure of CaGd2BeO5. Source: the Materials Project database, functional GGA-PBE.

The structure in CIF format:
```
data_CaGd2BeO5
_chemical_formula_sum 'Ca4 Gd8 Be4 O20'
_symmetry_space_group_name_H-M 'P n a 21'
_symmetry_Int_Tables_number 33
_cell_length_a 9.367
_cell_length_b 6.427
_cell_length_c 7.060
_cell_angle_alpha 90.00
_cell_angle_beta 90.00
_cell_angle_gamma 90.00
loop_
_symmetry_equiv_pos_as_xyz
'x,y,z'
'-x,-y,z+1/2'
'-x+1/2,y+1/2,z+1/2'
'x+1/2,-y+1/2,z'
loop_
_atom_site_label
_atom_site_type_symbol
_atom_site_fract_x
_atom_site_fract_y
_atom_site_fract_z
Ca1 Ca 0.176 0.081 0.000
Gd1 Gd 0.022 0.596 0.764
Gd2 Gd 0.174 0.072 0.546
Be1 Be 0.103 0.806 0.267
O1 O 0.010 0.020 0.268
O2 O 0.073 0.683 0.073
O3 O 0.073 0.692 0.463
O4 O 0.221 0.361 0.767
O5 O 0.223 0.336 0.266
```

Results
calculated volume: 11.8 Å³/atom
uncorrected energy: -9.683 eV/atom
formation energy: -3.549 eV/atom

=====

(6)
A relaxed structure of Li8PrO6. Source: the Materials Project database, functional GGA-PBE.

The structure in CIF format:
```
data_Li8PrO6
_chemical_formula_sum 'Li24 Pr3 O18'
_symmetry_space_group_name_H-M 'R -3'
_symmetry_Int_Tables_number 148
_symmetry_space_group_name_Hall '-R 3'
_cell_length_a 5.7266
_cell_length_b 5.7266
_cell_length_c 16.8479
_cell_angle_alpha 90.00
_cell_angle_beta 90.00
_cell_angle_gamma 120.00
loop_
_atom_site_label
_atom_site_type_symbol
_atom_site_fract_x
_atom_site_fract_y
_atom_site_fract_z
Li1 Li 0.0000 0.0000 0.1287
Li2 Li 0.0127 0.3043 0.7090
Pr1 Pr 0.0000 0.0000 0.5000
O1 O 0.9996 0.3570 0.2564
```

Results
calculated volume: 10.6 Å³/atom
uncorrected energy: -5.255 eV/atom
formation energy: -2.214 eV/atom

=====

> uncorrected energy of number 2 (CdPd3)?

-4.363 eV/atom

=====

Please write out number 3 again, unchanged.
A relaxed structure of TbSi2Pt2. Source: the Materials Project database, functional GGA-PBE.

The structure in CIF format:
```
data_TbSi2Pt2
_chemical_formula_sum 'Tb2 Si4 Pt4'
_symmetry_space_group_name_H-M 'I 4/m m m'
_symmetry_Int_Tables_number 139
_symmetry_space_group_name_Hall '-I 4 2'
_cell_length_a 4.193
_cell_length_b 4.193
_cell_length_c 9.923
_cell_angle_alpha 90.00
_cell_angle_beta 90.00
_cell_angle_gamma 90.00
loop_
_atom_site_label
_atom_site_type_symbol
_atom_site_fract_x
_atom_site_fract_y
_atom_site_fract_z
Tb1 Tb 0.000 0.000 0.000
Si1 Si 0.000 0.000 0.382
Pt1 Pt 0.000 0.500 0.250
```

Results
calculated volume: 17.4 Å³/atom
uncorrected energy: -6.559 eV/atom
formation energy: -1.033 eV/atom

=====

> Among the records above, which one has the lowest calculated volume?

Li8PrO6

=====

> Among the records above, which one has the lowest formation energy?

CaGd2BeO5